(1)
A plane-wave DFT calculation with GGA-PBE was carried out for a relaxed structure of Mg2Nb2BiO8.

- Total moment: 1.0 μB/f.u.
- E: -193.5 eV per cell
- Theoretical density: 5.69 Mg/m³
- V: 333 Å³/cell
- Formation energy from the elements: -2.72 eV/atom
- Space group: C2/c (15)

Unit cell a=10.706 b=10.706 c=5.373 alpha=87.81 beta=87.81 gamma=32.81
Positions (direct):
O1 0.453 0.673 0.885
O2 0.297 0.077 0.059
O3 0.988 0.165 0.965
O4 0.843 0.552 0.128
O5 0.923 0.703 0.441
O6 0.552 0.843 0.628
O7 0.448 0.157 0.372
O8 0.012 0.835 0.035
O9 0.157 0.448 0.872
O10 0.077 0.297 0.559
O11 0.835 0.012 0.535
O12 0.327 0.547 0.615
O13 0.673 0.453 0.385
O14 0.703 0.923 0.941
O15 0.165 0.988 0.465
O16 0.547 0.327 0.115
Mg1 0.122 0.424 0.237
Mg2 0.424 0.122 0.737
Mg3 0.878 0.576 0.763
Mg4 0.576 0.878 0.263
Bi1 0.301 0.699 0.250
Bi2 0.699 0.301 0.750
Nb1 0.705 0.044 0.231
Nb2 0.295 0.956 0.769
Nb3 0.044 0.705 0.731
Nb4 0.956 0.295 0.269

---

(2)
A plane-wave DFT calculation with GGA-PBE was carried out for a relaxed structure of Nd2MgBi2O8.

- Total moment: 0.0 μB/f.u.
- E: -85.0 eV per cell
- Theoretical density: 7.29 Mg/m³
- V: 196 Å³/cell
- Formation energy from the elements: -2.46 eV/atom
- Space group: C2 (5)

Unit cell a=7.481 b=7.481 c=7.042 alpha=132.35 beta=134.45 gamma=72.94
Positions (direct):
O1 0.474 0.222 0.755
O2 0.966 0.718 0.745
O3 0.717 0.528 0.849
O4 0.516 0.754 0.192
O5 0.705 0.058 0.210
O6 0.179 0.869 0.651
O7 0.062 0.324 0.308
O8 0.347 0.495 0.290
Nd1 0.652 0.902 0.750
Nd2 0.384 0.134 0.250
Bi1 0.123 0.373 0.750
Bi2 0.825 0.575 0.250
Mg1 0.410 0.660 0.750

---

(3)
A plane-wave DFT calculation with GGA-PBE was carried out for a relaxed structure of Nd2MgBi2O8.

- Total moment: 0.0 μB/f.u.
- E: -85.4 eV per cell
- Theoretical density: 7.26 Mg/m³
- V: 196 Å³/cell
- Formation energy from the elements: -2.49 eV/atom
- Space group: P1 (1)

Unit cell a=7.506 b=7.507 c=7.103 alpha=134.69 beta=133.12 gamma=71.81
Positions (direct):
O1 0.290 0.458 0.182
O2 0.749 0.479 0.837
O3 0.591 0.830 0.328
O4 0.480 0.216 0.766
O5 0.775 0.108 0.318
O6 0.003 0.262 0.171
O7 0.143 0.912 0.664
O8 0.951 0.713 0.734
Nd1 0.375 0.123 0.251
Nd2 0.619 0.868 0.750
Bi1 0.160 0.410 0.750
Bi2 0.826 0.575 0.250
Mg1 0.927 0.175 0.750

---

(4)
A plane-wave DFT calculation with GGA-PBE was carried out for a relaxed structure of Mg6NiBi.

- Total moment: 0.0 μB/f.u.
- E: -38.5 eV per cell
- Theoretical density: 3.99 Mg/m³
- V: 345 Å³/cell
- Formation energy from the elements: 0.01 eV/atom

Unit cell a=4.909 b=6.234 c=11.258 alpha=90.00 beta=90.00 gamma=90.00
Positions (direct):
Bi1 0.500 0.500 0.170
Bi2 0.500 0.000 0.670
Mg1 0.500 0.764 0.909
Mg2 0.000 0.762 0.070
Mg3 0.000 0.262 0.570
Mg4 0.500 0.264 0.409
Mg5 0.000 0.500 0.829
Mg6 0.500 0.500 0.668
Mg7 0.500 0.000 0.168
Mg8 0.500 0.736 0.409
Mg9 0.500 0.236 0.909
Mg10 0.000 0.238 0.070
Mg11 0.000 0.000 0.329
Mg12 0.000 0.738 0.570
Ni1 0.000 0.500 0.374
Ni2 0.000 0.000 0.874